Entry 1:
Na5CoO4: relaxed, PBE with a Hubbard U.

```
80
Lattice="-2.037 4.228 9.237 -9.473 2.928 -3.429 -4.074 -9.264 3.342" Properties=species:S:1:pos:R:3 pbc="T T T"
O -12.562 1.789 4.904
O -6.646 0.158 10.045
O -9.289 -1.360 10.138
O -3.604 2.704 3.818
O -13.248 -2.620 9.861
O -4.530 -4.631 6.873
O -3.022 -3.896 4.247
O -5.377 -2.034 5.517
O -5.871 -4.931 4.159
O -6.255 1.200 3.941
O -10.206 -0.074 3.634
O -3.732 -0.510 2.026
O -11.851 -1.597 7.125
O -10.729 -3.743 2.544
O -1.495 -2.070 0.677
O -4.854 1.636 6.607
O -9.378 -6.117 3.861
O -6.993 -2.785 8.740
O -7.263 -1.648 1.835
O -14.088 -0.037 8.474
O -9.329 -3.308 5.209
O -8.590 0.677 0.411
O -8.938 -2.265 -0.895
O -11.053 2.524 2.278
O -2.336 0.513 -0.711
O -6.205 4.010 5.289
O -14.677 -2.680 6.931
O -8.320 -0.459 7.316
O -0.906 0.573 2.220
O -9.713 2.824 4.992
O -6.294 -0.747 -0.987
O -11.979 -4.811 5.333
Na -12.963 -2.656 5.336
Na -11.535 3.240 6.428
Na -10.013 -1.114 5.685
Na -11.805 -1.687 2.937
Na -5.215 -1.775 0.706
Na -9.115 1.589 -1.694
Na -4.876 1.536 2.145
Na -7.904 -5.052 5.338
Na -2.990 -2.698 2.299
Na -7.505 -2.480 6.459
Na -4.852 -2.564 7.803
Na -7.140 -6.596 3.017
Na -12.593 0.591 6.852
Na -8.997 -2.320 3.166
Na -5.441 -6.470 5.850
Na -8.079 0.372 2.692
Na -10.707 -3.643 7.006
Na -9.225 2.930 0.863
Na -6.586 0.213 5.985
Na -10.369 -0.332 8.445
Na -8.444 4.488 6.133
Na -6.546 1.452 -0.385
Na -6.077 3.417 7.551
Na -6.556 -3.836 2.198
Na -10.142 4.362 3.301
Na -6.468 -3.697 10.845
Na -10.731 0.457 1.348
Na -4.048 -5.348 2.723
Na -10.795 -2.672 0.415
Na -12.411 -4.916 1.402
Na -3.172 2.808 7.749
Na -6.358 -5.038 8.287
Na -3.778 -0.420 6.213
Na -7.679 2.945 3.813
Na -9.027 1.729 6.952
Na -5.570 -0.994 3.465
Na -9.506 -5.524 1.600
Na -9.037 -3.559 9.535
Na -2.621 0.549 3.815
Na -4.789 0.564 8.735
Co -10.853 1.636 4.023
Co -7.686 -1.031 9.045
Co -5.105 2.473 4.908
Co -2.150 -0.240 0.990
Co -7.898 -1.077 0.106
Co -13.434 -1.867 8.160
Co -4.730 -3.744 5.127
Co -10.478 -4.580 4.243
```

V in Å³ per cell: 1159
Spin magnetization in Bohr magnetons per cell: 32.0



Entry 2:
V4CoH4C4N2O10: relaxed, PBE with a Hubbard U.

```
50
Lattice="-2.780 4.672 -5.939 2.613 -7.597 -0.531 -10.837 -3.869 2.028" Properties=species:S:1:pos:R:3 pbc="T T T"
V -5.102 -7.723 -1.328
V 0.361 -4.999 -0.595
V -11.365 -1.796 -3.847
V -2.740 2.057 -3.705
V -8.204 -0.667 -4.438
V -8.263 -8.852 -0.737
V -5.901 0.929 -3.114
V -2.800 -6.127 -0.004
H -6.302 -3.672 -2.046
H -4.701 -3.123 -2.396
H -0.885 -1.760 -3.111
H -10.206 -6.083 -3.624
H -4.671 -2.094 -0.093
H -6.333 -4.700 -4.349
H -0.797 -0.711 -0.818
H -10.119 -5.034 -1.331
O -0.939 -4.109 -4.549
O -2.311 1.234 -5.403
O -6.251 -0.173 -4.665
O -11.627 -1.353 -1.982
O -7.687 0.054 -2.719
O -8.993 -5.124 1.182
O -3.683 -5.089 -4.035
O -2.010 -1.671 -5.624
O -4.755 -2.651 -5.110
O -9.542 -1.729 -3.798
O 0.623 -5.442 -2.460
O -7.321 -1.706 -0.407
O -3.317 -6.848 -1.723
O -1.461 -5.066 -0.644
O -6.249 -4.144 0.668
O -10.065 -2.685 0.107
O -4.084 0.901 -3.274
O -8.693 -8.028 0.961
O -6.919 -7.696 -1.168
O -4.752 -6.621 0.223
N -2.731 -1.345 -0.328
N -2.796 -2.491 -2.863
N -8.208 -4.304 -1.579
N -8.273 -5.450 -4.114
C -3.838 -2.582 -2.030
C -1.722 -1.826 -2.426
C -1.680 -1.249 -1.157
C -9.282 -4.969 -2.016
C -7.166 -4.213 -2.412
C -7.190 -4.784 -3.684
C -3.814 -2.010 -0.758
C -9.323 -5.546 -3.285
Co -8.157 -3.413 0.392
Co -2.847 -3.382 -4.834
```

V in Å³ per cell: 600
Spin magnetization in Bohr magnetons per cell: 6.0



Entry 3:
Li2FePCO7: relaxed, PBE with a Hubbard U.

```
24
Lattice="-4.654 -1.745 -0.962 1.902 -5.309 2.903 -2.485 4.048 7.057" Properties=species:S:1:pos:R:3 pbc="T T T"
O -4.251 -0.187 4.190
O -0.407 -1.690 1.384
O -2.297 -2.252 6.576
O -2.714 -5.899 2.994
O -0.986 -2.820 4.808
O -2.520 0.466 6.775
O -4.955 -1.636 2.585
O -2.717 -3.473 2.223
O -4.830 -1.317 7.614
O -4.680 1.758 6.707
O -2.523 2.892 6.004
O -2.939 -0.755 2.422
O -0.282 -1.371 6.414
O -0.557 -4.765 2.291
Fe -1.573 -0.864 7.987
Fe -3.664 -2.143 1.011
Li -1.449 -2.039 3.063
Li -3.788 -0.968 5.935
Li -5.240 1.462 4.528
Li 0.004 -4.468 4.471
C -1.156 -2.174 5.884
C -4.080 -0.833 3.114
P -3.145 1.863 6.980
P -2.092 -4.870 2.019
```

V in Å³ per cell: 270
Spin magnetization in Bohr magnetons per cell: 10.0



Entry 4:
VO: relaxed, PBE with a Hubbard U.

```
8
Lattice="-3.592 -2.551 -0.019 1.786 -2.559 -3.110 -0.882 -2.541 4.659" Properties=species:S:1:pos:R:3 pbc="T T T"
O -0.008 -3.827 -3.115
O -3.579 -6.365 3.089
O -0.002 -3.834 -0.012
O -2.691 -3.830 1.534
V -0.901 -2.549 -1.561
V -1.798 -5.108 -0.020
V -0.894 -2.553 1.544
V -1.805 -5.104 -3.126
```

V in Å³ per cell: 86



Entry 5:
MgZn2Te2Mo2O12: relaxed, PBE with a Hubbard U.

```
19
Lattice="-2.947 4.106 0.651 -3.999 -2.975 1.924 3.710 1.157 9.501" Properties=species:S:1:pos:R:3 pbc="T T T"
O -1.869 3.015 3.793
O -0.652 3.095 6.400
O -3.506 1.593 5.588
O -2.782 -1.169 4.659
O -2.477 1.807 8.226
O -0.003 0.014 9.817
O -4.424 0.492 3.008
O -1.625 0.918 1.863
O 0.535 0.884 7.162
O -1.930 -0.604 7.349
O -0.374 3.165 9.578
O -0.487 0.458 4.547
Mo -0.615 2.321 2.524
Mo 0.874 -0.592 8.320
Te 1.151 2.871 7.047
Te -0.971 -1.167 3.597
Zn -1.565 1.160 6.174
Zn 1.751 0.546 4.484
Mg -3.470 0.566 1.294
```

V in Å³ per cell: 279
Spin magnetization in Bohr magnetons per cell: 2.0



Entry 6:
CoH8Cl2O4: relaxed, PBE with a Hubbard U.

```
60
Lattice="10.380 0.000 0.000 0.000 6.022 0.000 0.000 1.402 12.210" Properties=species:S:1:pos:R:3 pbc="T T T"
H 8.463 2.947 3.596
H 3.274 3.776 2.509
H 2.584 1.016 2.296
H 7.106 3.648 9.700
H 3.921 6.571 11.679
H 8.907 3.896 1.008
H 2.937 4.068 7.467
H 0.107 2.323 6.823
H 5.296 5.802 11.491
H 5.215 0.772 6.474
H 3.717 2.826 5.097
H 1.269 5.870 5.574
H 8.670 6.130 2.587
H 7.796 6.408 9.914
H 5.165 6.652 5.736
H 6.662 4.598 7.113
H 1.472 3.527 11.202
H 2.253 3.367 1.362
H 2.606 1.717 8.401
H 3.480 0.593 3.518
H 10.354 0.071 0.369
H 0.025 7.353 11.841
H 7.443 3.356 4.743
H 1.710 1.294 9.623
H 7.774 5.707 3.809
H 5.083 1.622 0.718
H 9.111 1.554 6.635
H 8.127 4.057 10.848
H 1.916 4.477 8.614
H 6.459 0.853 0.531
H 6.899 6.831 8.692
H 10.273 5.101 5.387
Cl 0.712 4.409 10.536
Cl 2.158 2.028 6.384
Cl 4.478 3.708 4.431
Cl 9.667 3.015 1.674
Cl 8.221 5.395 5.826
Cl 5.902 3.716 7.779
Cl 7.348 6.096 11.931
Cl 3.031 1.327 0.279
O 2.783 4.700 8.212
O 0.190 1.382 9.662
O 7.597 2.724 3.998
O 4.325 5.784 11.243
O 9.514 2.341 7.071
O 5.000 0.681 3.557
O 7.882 6.716 8.965
O 7.688 6.015 2.861
O 10.189 6.042 2.548
O 5.380 6.743 8.653
O 2.692 1.408 9.349
O 2.498 0.707 3.244
O 7.972 3.425 10.103
O 2.407 3.999 2.107
O 0.865 5.083 5.138
O 6.055 1.640 0.967
Co 4.030 5.945 9.218
Co 6.349 1.479 2.992
Co 1.160 5.244 3.113
Co 9.220 2.180 9.097
```

V in Å³ per cell: 763
Spin magnetization in Bohr magnetons per cell: 16.0



Entry 7:
FeOF: relaxed, PBE with a Hubbard U.

```
12
Lattice="-1.100 -0.493 2.836 -1.098 -4.497 -1.207 8.506 -3.398 2.708" Properties=species:S:1:pos:R:3 pbc="T T T"
F 0.027 -1.380 1.445
F 2.005 -5.280 1.534
F 6.853 -4.258 1.917
F 4.339 -3.197 2.801
Fe 4.230 -1.755 1.335
Fe 1.033 -3.266 1.507
Fe 7.466 -7.656 1.565
Fe 5.216 -5.308 2.774
O 6.247 -6.924 2.893
O 2.673 -2.528 0.597
O 0.593 -3.603 -0.396
O 4.722 -5.389 0.894
```

Largest piezoelectric modulus in C/m²: 0.8
V in Å³ per cell: 141
Spin magnetization in Bohr magnetons per cell: 20.0



Entry 8:
Li5NiO3F2: relaxed, PBE with a Hubbard U.

```
11
Lattice="1.965 4.684 0.000 -1.965 4.684 0.000 0.000 1.896 5.548" Properties=species:S:1:pos:R:3 pbc="T T T"
Li 0.000 6.873 1.097
Li 0.000 7.501 3.468
Li 0.000 0.000 0.000
Li 0.000 3.763 2.080
Li 0.000 4.390 4.451
F 0.000 1.953 0.857
F 0.000 9.310 4.691
Ni 0.000 0.948 2.774
O 0.000 8.689 1.794
O 0.000 2.575 3.754
O 0.000 5.632 2.774
```

V in Å³ per cell: 102
Spin magnetization in Bohr magnetons per cell: 1.0



Entry 9:
MgCoBiO3: relaxed, PBE with a Hubbard U.

```
6
Lattice="-3.923 0.381 0.476 0.113 -2.590 3.007 1.008 5.022 4.288" Properties=species:S:1:pos:R:3 pbc="T T T"
O 0.900 2.904 5.089
O -1.752 -0.345 2.390
O -1.118 4.389 3.823
Mg -1.044 3.181 5.400
Bi 0.026 0.129 0.110
Co -1.488 0.974 3.516
```

V in Å³ per cell: 105
Spin magnetization in Bohr magnetons per cell: 2.0



Entry 10:
MnZnF4: relaxed, PBE with a Hubbard U.

```
12
Lattice="4.786 -0.018 -2.250 -1.034 4.582 -2.236 0.036 0.059 6.474" Properties=species:S:1:pos:R:3 pbc="T T T"
Mn 1.396 4.626 3.111
Mn -0.512 2.304 -1.096
F 3.174 0.437 3.175
F 3.079 3.875 -2.142
F 4.127 1.618 -1.225
F 0.669 0.670 4.112
F 2.138 2.715 2.244
F 0.632 4.221 -1.140
F -0.306 3.015 3.266
F 1.648 1.911 -0.345
Zn 0.916 1.147 2.168
Zn 2.879 3.480 -0.143
```

V in Å³ per cell: 143
Spin magnetization in Bohr magnetons per cell: 10.0



Entry 11:
NiH6S2O12: relaxed, PBE with a Hubbard U.

```
21
Lattice="-2.657 -0.361 5.678 -2.985 -5.503 -0.892 4.636 -6.045 4.615" Properties=species:S:1:pos:R:3 pbc="T T T"
O -1.341 -5.273 6.417
O -1.776 -5.335 3.219
O 0.433 -9.793 3.410
O 2.823 -4.087 3.013
O -1.440 -2.117 5.992
O 0.334 -6.637 2.986
O 0.769 -6.575 6.184
O 1.696 -7.036 8.712
O 0.376 -4.317 3.863
O -1.383 -7.592 5.540
O -2.703 -4.874 0.691
O -3.830 -7.822 6.389
H -2.828 -7.729 6.189
H -2.364 -5.152 1.579
H 1.821 -4.181 3.213
H -0.703 -2.255 5.342
H 1.357 -6.758 7.823
H -0.304 -9.654 4.061
S -0.392 -5.559 3.630
S -0.615 -6.351 5.772
Ni 0.000 0.000 0.000
```

V in Å³ per cell: 326
Spin magnetization in Bohr magnetons per cell: 3.0



Entry 12:
Mn4O7F: relaxed, PBE with a Hubbard U.

```
12
Lattice="-1.762 3.260 -2.523 -5.123 -1.771 1.045 -0.219 2.973 3.983" Properties=species:S:1:pos:R:3 pbc="T T T"
O -5.038 0.427 2.001
O -3.796 2.517 3.649
O -4.548 3.025 1.103
O -1.185 3.295 3.196
O -2.578 1.475 1.426
O -2.053 4.012 0.472
O -3.297 1.940 -1.112
Mn -2.870 3.258 2.111
Mn -0.904 0.493 1.159
Mn -4.558 0.706 3.799
Mn -4.182 1.237 0.454
F -5.853 1.132 -0.704
```

V in Å³ per cell: 123
Spin magnetization in Bohr magnetons per cell: 13.0



Number 1: energy relative to the elements -146.6 kJ/mol of atoms. Number 2: energy relative to the elements -128.4 kJ/mol of atoms. Number 3: energy relative to the elements -221.5 kJ/mol of atoms. Number 4: energy relative to the elements -201.7 kJ/mol of atoms. Number 5: energy relative to the elements -176.9 kJ/mol of atoms. Number 6: energy relative to the elements -86.8 kJ/mol of atoms. Number 7: energy relative to the elements -195.5 kJ/mol of atoms. Number 8: energy relative to the elements -209.4 kJ/mol of atoms. Number 9: energy relative to the elements -118.4 kJ/mol of atoms. Number 10: energy relative to the elements -261.9 kJ/mol of atoms. Number 11: energy relative to the elements -99.0 kJ/mol of atoms. Number 12: energy relative to the elements -181.8 kJ/mol of atoms.